Record 1
The following is a PBE-GGA calculation of a geometry-optimized U2SeN2 structure, from the Materials Project database.

Values from the calculation:
ΔE_f, meV per atom: -1633
VASP energy, eV per atom: -10.04

a = 3.8408 Å, b = 3.8408 Å, c = 6.8561 Å
α = 90.00°, β = 90.00°, γ = 120.00°
Space group P-3m1 (No. 164)
Inequivalent atoms, fractional coordinates:
1 U 0.3333 0.6667 0.2954 x2
2 Se 0.0000 0.0000 0.0000 x1
3 N 0.3333 0.6667 0.6262 x2


Record 2
The following is a PBE-GGA calculation of a geometry-optimized CaH2C2O5 structure, from the Materials Project database.

Values from the calculation:
ΔE_f, meV per atom: -1958
Total magnetization, μB per atom: 0.000
Excess energy over the best structure of this formula in the dataset, meV/atom: 0
VASP energy, eV per atom: -6.81

a = 6.380 Å, b = 14.784 Å, c = 10.164 Å
α = 90.00°, β = 109.39°, γ = 90.00°
Space group P2_1/c (No. 14)
Inequivalent atoms, fractional coordinates:
1 Ca 0.007 0.123 0.064 x4
2 Ca 0.037 0.124 0.447 x4
3 H 0.390 0.722 0.593 x4
4 H 0.478 0.623 0.937 x4
5 H 0.484 0.124 0.711 x4
6 H 0.484 0.633 0.547 x4
7 C 0.002 0.073 0.751 x4
8 C 0.022 0.180 0.756 x4
9 C 0.446 0.617 0.313 x4
10 C 0.482 0.128 0.318 x4
11 O 0.005 0.535 0.639 x4
12 O 0.007 0.535 0.862 x4
13 O 0.027 0.218 0.646 x4
14 O 0.031 0.218 0.869 x4
15 O 0.240 0.622 0.294 x4
16 O 0.278 0.121 0.301 x4
17 O 0.364 0.647 0.069 x4
18 O 0.389 0.655 0.602 x4
19 O 0.399 0.108 0.071 x4
20 O 0.414 0.109 0.611 x4


- Number 2 is which compound?
  CaH2C2O5